A relaxed Na8La3NbSi4P2O24 crystal. Source: the Materials Project database, functional PBE-GGA.

Lattice parameters (Å, degrees): 9.665 9.677 23.076 89.82 89.96 60.05
Fractional positions:
Na (0.000, 0.000, 0.000)
Na (0.000, 0.375, 0.236)
Na (0.006, 0.368, 0.745)
Na (0.008, 0.739, 0.498)
Na (0.027, 0.690, 0.835)
Na (0.035, 0.041, 0.318)
Na (0.295, 0.415, 0.322)
Na (0.308, 0.043, 0.824)
Na (0.324, 0.073, 0.153)
Na (0.331, 0.701, 0.913)
Na (0.340, 0.701, 0.409)
Na (0.344, 0.337, 0.665)
Na (0.367, 0.386, 0.995)
Na (0.369, 0.001, 0.501)
Na (0.618, 0.392, 0.498)
Na (0.627, 0.743, 0.999)
Na (0.659, 0.402, 0.831)
Na (0.660, 0.044, 0.579)
Na (0.662, 0.674, 0.322)
Na (0.668, 0.043, 0.076)
Na (0.685, 0.722, 0.663)
Na (0.687, 0.354, 0.154)
Na (0.960, 0.078, 0.664)
Na (0.977, 0.711, 0.155)
La (0.331, 0.708, 0.063)
La (0.331, 0.710, 0.248)
La (0.333, 0.709, 0.566)
La (0.661, 0.043, 0.430)
La (0.663, 0.044, 0.226)
La (0.665, 0.046, 0.730)
La (0.671, 0.048, 0.924)
La (0.998, 0.378, 0.893)
La (0.998, 0.380, 0.396)
Nb (0.327, 0.709, 0.752)
Nb (0.992, 0.384, 0.090)
Nb (0.999, 0.382, 0.596)
Si (0.016, 0.036, 0.156)
Si (0.031, 0.699, 0.654)
Si (0.297, 0.373, 0.495)
Si (0.319, 0.020, 0.655)
Si (0.320, 0.395, 0.156)
Si (0.352, 0.368, 0.820)
Si (0.643, 0.413, 0.655)
Si (0.654, 0.703, 0.156)
Si (0.700, 0.373, 0.990)
Si (0.704, 0.676, 0.495)
Si (0.991, 0.031, 0.820)
Si (0.992, 0.681, 0.990)
P (0.297, 0.085, 0.994)
P (0.355, 0.036, 0.326)
P (0.645, 0.735, 0.820)
P (0.658, 0.358, 0.326)
P (0.980, 0.736, 0.326)
P (0.991, 0.090, 0.498)
O (0.000, 0.161, 0.439)
O (0.002, 0.598, 0.928)
O (0.010, 0.210, 0.144)
O (0.028, 0.178, 0.824)
O (0.038, 0.521, 0.653)
O (0.089, 0.735, 0.594)
O (0.097, 0.915, 0.101)
O (0.128, 0.960, 0.214)
O (0.135, 0.920, 0.500)
O (0.144, 0.193, 0.653)
O (0.147, 0.706, 0.994)
O (0.149, 0.721, 0.327)
O (0.153, 0.386, 0.145)
O (0.166, 0.860, 0.809)
O (0.167, 0.409, 0.824)
O (0.168, 0.683, 0.705)
O (0.173, 0.371, 0.548)
O (0.183, 0.194, 0.043)
O (0.184, 0.185, 0.324)
O (0.213, 0.379, 0.433)
O (0.219, 0.154, 0.935)
O (0.282, 0.508, 0.214)
O (0.305, 0.900, 0.706)
O (0.316, 0.531, 0.497)
O (0.321, 0.915, 0.997)
O (0.343, 0.881, 0.327)
O (0.351, 0.928, 0.594)
O (0.352, 0.541, 0.809)
O (0.361, 0.476, 0.102)
O (0.430, 0.255, 0.764)
O (0.443, 0.041, 0.271)
O (0.451, 0.032, 0.381)
O (0.458, 0.083, 0.999)
O (0.465, 0.211, 0.161)
O (0.467, 0.053, 0.665)
O (0.467, 0.205, 0.503)
O (0.468, 0.287, 0.877)
O (0.485, 0.731, 0.813)
O (0.505, 0.526, 0.327)
O (0.522, 0.548, 0.706)
O (0.523, 0.532, 0.994)
O (0.523, 0.704, 0.497)
O (0.536, 0.740, 0.101)
O (0.550, 0.474, 0.595)
O (0.581, 0.663, 0.214)
O (0.622, 0.841, 0.874)
O (0.655, 0.266, 0.381)
O (0.659, 0.267, 0.271)
O (0.673, 0.810, 0.766)
O (0.675, 0.233, 0.665)
O (0.698, 0.844, 0.160)
O (0.699, 0.205, 0.999)
O (0.711, 0.842, 0.502)
O (0.775, 0.378, 0.928)
O (0.778, 0.589, 0.434)
O (0.786, 0.562, 0.825)
O (0.810, 0.376, 0.323)
O (0.816, 0.414, 0.654)
O (0.820, 0.846, 0.998)
O (0.824, 0.377, 0.042)
O (0.830, 0.090, 0.503)
O (0.830, 0.550, 0.549)
O (0.831, 0.076, 0.160)
O (0.831, 0.534, 0.145)
O (0.850, 0.838, 0.667)
O (0.881, 0.062, 0.763)
O (0.888, 0.831, 0.381)
O (0.889, 0.826, 0.271)
O (0.911, 0.993, 0.876)
O (0.991, 0.201, 0.548)
O (0.998, 0.567, 0.323)
O (0.999, 0.551, 0.043)

Formation energy from the elements (meV per atom): -2982
Total moment (μB/f.u.): 0.00
SG: P1, No. 1
Uncorrected energy (eV per atom): -7.0366